## w
## RbMgMoO3 (PBE with a Hubbard U)

Data for a relaxed RbMgMoO3 crystal.

a = 6.744 Å, b = 5.962 Å, c = 4.555 Å
α = 90.00°, β = 100.09°, γ = 90.00°
Fractional coordinates of all 12 atoms:
Rb: 0.000 0.000 0.000
Rb: 0.500 0.500 0.000
Mg: 0.181 0.500 0.325
Mg: 0.681 0.000 0.325
Mo: 0.377 0.000 0.626
Mo: 0.877 0.500 0.626
O: 0.151 0.256 0.591
O: 0.151 0.744 0.591
O: 0.411 0.000 0.103
O: 0.651 0.244 0.591
O: 0.651 0.756 0.591
O: 0.911 0.500 0.103

Properties
- Total magnetization: 3.00 μB per formula unit

=====

## x
## RbMgMoO3 (PBE with a Hubbard U)

Data for a relaxed RbMgMoO3 crystal.

a = 4.206 Å, b = 4.206 Å, c = 5.119 Å
α = 90.00°, β = 90.00°, γ = 90.00°
Fractional coordinates of all 6 atoms:
Rb: 0.000 0.000 0.000
Mg: 0.000 0.000 0.500
Mo: 0.500 0.500 0.500
O: 0.000 0.500 0.500
O: 0.500 0.000 0.500
O: 0.500 0.500 0.000

Properties
- Total magnetization: 3.00 μB per formula unit

=====

Relative energies, unit eV/atom: w 0.000; x 0.225